The following is a PBE-GGA calculation of a relaxed UGa3Ni crystal, from Materials Project.

Computed properties:
Density, g/cm³: 9.7
Total magnetization, μB per formula unit: 2.3
Energy of formation from the pure elements, kcal/mol of atoms: -4.4

a = 4.067 Å, b = 4.067 Å, c = 10.517 Å
α = 90.00°, β = 90.00°, γ = 90.00°
Space group I-4m2 (No. 119)
Symmetry-distinct sites (fractional):
U  0.000  0.000  0.000 [2 per cell]
Ga  0.000  0.000  0.384 [4 per cell]
Ga  0.000  0.500  0.250 [2 per cell]
Ni  0.000  0.500  0.750 [2 per cell]